Record 1
VASP calculation (GGA-PBE) on a geometry-optimized SnO2 structure.

Cell: 4.832 4.832 3.243 Å, 90.00 90.00 90.00°
Atoms (fractional coordinates):
1 Sn 0.000 0.000 0.000
2 Sn 0.500 0.500 0.500
3 O 0.193 0.193 0.500
4 O 0.307 0.693 0.000
5 O 0.693 0.307 0.000
6 O 0.807 0.807 0.500

Values from the calculation:
- ρ (g cm⁻³) = 6.61
- E_form (eV/atom) = -2.107
- energy with MP2020 corrections (eV/atom) = -6.743

---

Record 2
VASP calculation (GGA-PBE) on a geometry-optimized Pr3Si6N11 structure.

Cell: 10.180 10.180 4.899 Å, 90.00 90.00 90.00°
Atoms (fractional coordinates):
1 Pr 0.000 0.000 0.000
2 Pr 0.182 0.318 0.014
3 Pr 0.318 0.818 0.014
4 Pr 0.500 0.500 0.000
5 Pr 0.682 0.182 0.014
6 Pr 0.818 0.682 0.014
7 Si 0.079 0.791 0.543
8 Si 0.117 0.617 0.053
9 Si 0.209 0.079 0.543
10 Si 0.291 0.579 0.543
11 Si 0.383 0.117 0.053
12 Si 0.421 0.291 0.543
13 Si 0.579 0.709 0.543
14 Si 0.617 0.883 0.053
15 Si 0.709 0.421 0.543
16 Si 0.791 0.921 0.543
17 Si 0.883 0.383 0.053
18 Si 0.921 0.209 0.543
19 N 0.000 0.500 0.079
20 N 0.076 0.770 0.190
21 N 0.079 0.179 0.653
22 N 0.154 0.654 0.708
23 N 0.179 0.921 0.653
24 N 0.230 0.076 0.190
25 N 0.270 0.576 0.190
26 N 0.321 0.421 0.653
27 N 0.346 0.154 0.708
28 N 0.421 0.679 0.653
29 N 0.424 0.270 0.190
30 N 0.500 0.000 0.079
31 N 0.576 0.730 0.190
32 N 0.579 0.321 0.653
33 N 0.654 0.846 0.708
34 N 0.679 0.579 0.653
35 N 0.730 0.424 0.190
36 N 0.770 0.924 0.190
37 N 0.821 0.079 0.653
38 N 0.846 0.346 0.708
39 N 0.921 0.821 0.653
40 N 0.924 0.230 0.190

Values from the calculation:
- ρ (g cm⁻³) = 4.88
- E_form (eV/atom) = -1.479
- energy with MP2020 corrections (eV/atom) = -8.408

---

Record 3
VASP calculation (GGA-PBE) on a geometry-optimized Nb4Pb3O13 structure.

Cell: 7.594 7.574 10.733 Å, 90.00 90.00 90.00°
Atoms (fractional coordinates):
1 Nb 0.000 0.000 0.000
2 Nb 0.000 0.500 0.500
3 Nb 0.250 0.249 0.254
4 Nb 0.250 0.751 0.254
5 Nb 0.500 0.000 0.000
6 Nb 0.500 0.500 0.500
7 Nb 0.750 0.249 0.746
8 Nb 0.750 0.751 0.746
9 Pb 0.000 0.500 0.000
10 Pb 0.250 0.248 0.739
11 Pb 0.250 0.752 0.739
12 Pb 0.500 0.500 0.000
13 Pb 0.750 0.248 0.261
14 Pb 0.750 0.752 0.261
15 O 0.057 0.191 0.125
16 O 0.057 0.809 0.125
17 O 0.060 0.316 0.372
18 O 0.060 0.684 0.372
19 O 0.250 0.000 0.303
20 O 0.250 0.000 0.936
21 O 0.250 0.500 0.180
22 O 0.250 0.500 0.565
23 O 0.250 0.500 0.848
24 O 0.440 0.316 0.372
25 O 0.440 0.684 0.372
26 O 0.443 0.191 0.125
27 O 0.443 0.809 0.125
28 O 0.557 0.191 0.875
29 O 0.557 0.809 0.875
30 O 0.560 0.316 0.628
31 O 0.560 0.684 0.628
32 O 0.750 0.000 0.064
33 O 0.750 0.000 0.697
34 O 0.750 0.500 0.152
35 O 0.750 0.500 0.435
36 O 0.750 0.500 0.820
37 O 0.940 0.316 0.628
38 O 0.940 0.684 0.628
39 O 0.943 0.191 0.875
40 O 0.943 0.809 0.875

Values from the calculation:
- ρ (g cm⁻³) = 6.46
- offset from the most stable computed form (meV/atom) = 0
- E_form (eV/atom) = -2.644
- energy with MP2020 corrections (eV/atom) = -8.438

---

Record 4
VASP calculation (GGA-PBE) on a geometry-optimized LiTiO2 structure.

Cell: 5.932 5.932 5.932 Å, 60.00 60.00 60.00°
Atoms (fractional coordinates):
1 Li 0.000 0.000 0.000
2 Li 0.000 0.000 0.500
3 Li 0.000 0.500 0.000
4 Li 0.500 0.000 0.000
5 Ti 0.000 0.500 0.500
6 Ti 0.500 0.000 0.500
7 Ti 0.500 0.500 0.000
8 Ti 0.500 0.500 0.500
9 O 0.254 0.254 0.254
10 O 0.254 0.254 0.737
11 O 0.254 0.737 0.254
12 O 0.263 0.746 0.746
13 O 0.737 0.254 0.254
14 O 0.746 0.263 0.746
15 O 0.746 0.746 0.263
16 O 0.746 0.746 0.746

Values from the calculation:
- ρ (g cm⁻³) = 3.91
- E_form (eV/atom) = -2.951
- energy with MP2020 corrections (eV/atom) = -7.876

---

Record 5
VASP calculation (GGA-PBE) on a geometry-optimized Na6Ca4Ti4Si3S9O48 structure.

Cell: 8.955 15.601 23.039 Å, 90.20 90.12 90.05°
Atoms (fractional coordinates):
1 Na 0.000 0.000 0.000
2 Na 0.002 0.358 0.675
3 Na 0.003 0.690 0.842
4 Na 0.015 0.685 0.329
5 Na 0.031 0.374 0.173
6 Na 0.122 0.193 0.592
7 Na 0.388 0.694 0.093
8 Na 0.485 0.872 0.675
9 Na 0.497 0.856 0.167
10 Na 0.501 0.185 0.834
11 Na 0.506 0.192 0.334
12 Na 0.518 0.509 0.491
13 Na 0.531 0.532 0.997
14 Na 0.639 0.689 0.585
15 Na 0.662 0.369 0.922
16 Na 0.859 0.866 0.418
17 Na 0.877 0.190 0.086
18 Na 0.984 0.029 0.495
19 Ca 0.007 0.033 0.346
20 Ca 0.012 0.364 0.023
21 Ca 0.013 0.025 0.658
22 Ca 0.014 0.686 0.478
23 Ca 0.015 0.010 0.151
24 Ca 0.499 0.186 0.979
25 Ca 0.499 0.526 0.158
26 Ca 0.502 0.518 0.655
27 Ca 0.502 0.863 0.522
28 Ca 0.508 0.532 0.847
29 Ca 0.516 0.868 0.022
30 Ca 0.994 0.369 0.519
31 Ti 0.000 0.358 0.318
32 Ti 0.010 0.363 0.821
33 Ti 0.015 0.702 0.691
34 Ti 0.019 0.016 0.845
35 Ti 0.028 0.697 0.187
36 Ti 0.493 0.189 0.692
37 Ti 0.496 0.516 0.343
38 Ti 0.498 0.201 0.190
39 Ti 0.503 0.863 0.318
40 Ti 0.508 0.855 0.822
41 Ti 0.525 0.196 0.471
42 Ti 0.990 0.703 0.975
43 Si 0.145 0.180 0.751
44 Si 0.150 0.834 0.081
45 Si 0.173 0.877 0.750
46 Si 0.341 0.376 0.249
47 Si 0.363 0.679 0.251
48 Si 0.655 0.005 0.420
49 Si 0.709 0.368 0.417
50 Si 0.803 0.868 0.917
51 Si 0.862 0.510 0.921
52 S 0.146 0.554 0.085
53 S 0.161 0.215 0.422
54 S 0.162 0.504 0.412
55 S 0.187 0.527 0.750
56 S 0.210 0.860 0.415
57 S 0.214 0.193 0.091
58 S 0.299 0.692 0.591
59 S 0.304 0.359 0.915
60 S 0.326 0.027 0.251
61 S 0.353 0.004 0.912
62 S 0.354 0.715 0.920
63 S 0.369 0.056 0.584
64 S 0.371 0.329 0.585
65 S 0.645 0.709 0.416
66 S 0.648 0.052 0.092
67 S 0.649 0.337 0.087
68 S 0.665 0.366 0.753
69 S 0.665 0.685 0.747
70 S 0.702 0.024 0.754
71 S 0.730 0.690 0.085
72 S 0.784 0.191 0.584
73 S 0.808 0.524 0.255
74 S 0.847 0.866 0.254
75 S 0.849 0.185 0.247
76 S 0.864 0.550 0.591
77 S 0.864 0.836 0.587
78 S 0.868 0.209 0.915
79 O 0.069 0.925 0.080
80 O 0.081 0.157 0.688
81 O 0.081 0.468 0.089
82 O 0.081 0.925 0.803
83 O 0.086 0.775 0.026
84 O 0.087 0.603 0.741
85 O 0.089 0.450 0.758
86 O 0.089 0.779 0.741
87 O 0.090 0.589 0.409
88 O 0.092 0.276 0.772
89 O 0.097 0.451 0.365
90 O 0.097 0.599 0.141
91 O 0.097 0.777 0.142
92 O 0.098 0.601 0.034
93 O 0.103 0.127 0.415
94 O 0.105 0.251 0.476
95 O 0.110 0.106 0.800
96 O 0.112 0.936 0.412
97 O 0.113 0.782 0.411
98 O 0.115 0.118 0.094
99 O 0.121 0.268 0.370
100 O 0.122 0.272 0.094
101 O 0.142 0.463 0.469
102 O 0.164 0.929 0.691
103 O 0.169 0.356 0.270
104 O 0.175 0.686 0.245
105 O 0.188 0.015 0.903
106 O 0.188 0.712 0.918
107 O 0.196 0.693 0.642
108 O 0.201 0.356 0.864
109 O 0.204 0.052 0.584
110 O 0.205 0.333 0.587
111 O 0.213 0.688 0.537
112 O 0.221 0.361 0.969
113 O 0.234 0.013 0.200
114 O 0.240 0.045 0.304
115 O 0.276 0.544 0.802
116 O 0.278 0.511 0.699
117 O 0.292 0.862 0.470
118 O 0.300 0.189 0.037
119 O 0.312 0.551 0.085
120 O 0.313 0.858 0.364
121 O 0.318 0.194 0.142
122 O 0.326 0.514 0.404
123 O 0.329 0.833 0.087
124 O 0.330 0.211 0.424
125 O 0.338 0.187 0.742
126 O 0.344 0.856 0.769
127 O 0.348 0.428 0.191
128 O 0.373 0.964 0.968
129 O 0.394 0.770 0.594
130 O 0.398 0.616 0.593
131 O 0.400 0.769 0.868
132 O 0.401 0.281 0.911
133 O 0.401 0.435 0.911
134 O 0.404 0.604 0.301
135 O 0.412 0.753 0.974
136 O 0.415 0.280 0.639
137 O 0.415 0.629 0.912
138 O 0.415 0.952 0.864
139 O 0.416 0.106 0.533
140 O 0.418 0.103 0.640
141 O 0.421 0.774 0.274
142 O 0.422 0.284 0.533
143 O 0.423 0.949 0.258
144 O 0.424 0.089 0.909
145 O 0.424 0.278 0.241
146 O 0.428 0.103 0.242
147 O 0.433 0.424 0.303
148 O 0.434 0.657 0.190
149 O 0.437 0.415 0.587
150 O 0.437 0.971 0.588
151 O 0.572 0.103 0.427
152 O 0.578 0.954 0.363
153 O 0.579 0.967 0.095
154 O 0.583 0.624 0.404
155 O 0.591 0.424 0.091
156 O 0.592 0.282 0.137
157 O 0.593 0.105 0.141
158 O 0.593 0.400 0.806
159 O 0.594 0.739 0.474
160 O 0.597 0.447 0.400
161 O 0.597 0.952 0.765
162 O 0.598 0.772 0.757
163 O 0.599 0.278 0.741
164 O 0.599 0.648 0.694
165 O 0.602 0.773 0.370
166 O 0.604 0.297 0.031
167 O 0.605 0.105 0.746
168 O 0.607 0.276 0.424
169 O 0.616 0.096 0.037
170 O 0.631 0.613 0.083
171 O 0.636 0.768 0.086
172 O 0.637 0.946 0.475
173 O 0.643 0.421 0.702
174 O 0.646 0.630 0.798
175 O 0.681 0.851 0.863
176 O 0.682 0.855 0.263
177 O 0.683 0.198 0.240
178 O 0.685 0.520 0.909
179 O 0.687 0.192 0.636
180 O 0.691 0.192 0.529
181 O 0.698 0.542 0.594
182 O 0.699 0.833 0.593
183 O 0.701 0.209 0.913
184 O 0.704 0.535 0.305
185 O 0.722 0.891 0.976
186 O 0.731 0.503 0.201
187 O 0.780 0.007 0.699
188 O 0.787 0.388 0.477
189 O 0.803 0.041 0.803
190 O 0.813 0.709 0.414
191 O 0.814 0.047 0.095
192 O 0.815 0.334 0.093
193 O 0.818 0.688 0.029
194 O 0.828 0.689 0.136
195 O 0.829 0.355 0.762
196 O 0.831 0.019 0.410
197 O 0.831 0.349 0.364
198 O 0.831 0.697 0.740
199 O 0.868 0.131 0.299
200 O 0.868 0.922 0.204
201 O 0.875 0.444 0.974
202 O 0.879 0.114 0.582
203 O 0.883 0.268 0.585
204 O 0.896 0.594 0.536
205 O 0.902 0.602 0.251
206 O 0.905 0.778 0.922
207 O 0.909 0.796 0.532
208 O 0.911 0.778 0.243
209 O 0.912 0.274 0.869
210 O 0.913 0.449 0.267
211 O 0.913 0.949 0.897
212 O 0.915 0.148 0.195
213 O 0.916 0.272 0.258
214 O 0.916 0.603 0.641
215 O 0.918 0.900 0.307
216 O 0.920 0.239 0.973
217 O 0.922 0.782 0.637
218 O 0.924 0.923 0.591
219 O 0.930 0.124 0.903
220 O 0.936 0.465 0.595
221 O 0.937 0.453 0.863
222 O 0.948 0.603 0.927

Values from the calculation:
- ρ (g cm⁻³) = 2.52
- E_form (eV/atom) = -2.578
- energy with MP2020 corrections (eV/atom) = -7.153

---

Record 6
VASP calculation (GGA-PBE) on a geometry-optimized Ba2Cu2O5 structure.

Cell: 9.360 9.360 9.360 Å, 50.94 144.66 144.53°
Atoms (fractional coordinates):
1 Ba 0.006 0.115 0.121
2 Ba 0.006 0.385 0.391
3 Ba 0.994 0.615 0.609
4 Ba 0.994 0.885 0.879
5 Cu 0.446 0.241 0.705
6 Cu 0.502 0.002 0.500
7 Cu 0.502 0.502 0.000
8 Cu 0.536 0.741 0.295
9 O 0.000 0.246 0.750
10 O 0.000 0.750 0.254
11 O 0.004 0.958 0.546
12 O 0.413 0.458 0.454
13 O 0.470 0.650 0.110
14 O 0.470 0.860 0.320
15 O 0.496 0.250 0.250
16 O 0.496 0.746 0.746
17 O 0.540 0.150 0.680
18 O 0.540 0.360 0.890

Values from the calculation:
- ρ (g cm⁻³) = 5.84
- E_form (eV/atom) = -1.825
- energy with MP2020 corrections (eV/atom) = -5.911